Record 1
AlV6Ge: optimized geometry, GGA-PBE.

Output
Its formation energy is -5.4 kcal/mol of atoms.

Unit cell a=4.792 b=4.792 c=4.792 alpha=90.00 beta=90.00 gamma=90.00
Positions (direct):
1 Al 0.000 0.000 0.000
2 V 0.000 0.250 0.500
3 V 0.000 0.750 0.500
4 V 0.250 0.500 0.000
5 V 0.500 0.000 0.250
6 V 0.500 0.000 0.750
7 V 0.750 0.500 0.000
8 Ge 0.500 0.500 0.500

=====

Record 2
SrBi3Cl3O4: optimized geometry, GGA-PBE.

Output
Its formation energy is -42.1 kcal/mol of atoms.

Unit cell a=14.115 b=14.115 c=14.115 alpha=163.80 beta=163.80 gamma=22.99
Positions (direct):
1 Sr 0.000 0.000 0.000
2 Bi 0.263 0.263 0.000
3 Bi 0.409 0.409 0.000
4 Bi 0.672 0.672 0.000
5 Cl 0.129 0.129 0.000
6 Cl 0.551 0.551 0.000
7 Cl 0.818 0.818 0.000
8 O 0.220 0.720 0.500
9 O 0.445 0.945 0.500
10 O 0.720 0.220 0.500
11 O 0.945 0.445 0.500

=====

Record 3
BiHSe2O6: optimized geometry, GGA-PBE.

Output
Its formation energy is -30.9 kcal/mol of atoms.

Unit cell a=4.622 b=4.622 c=16.455 alpha=90.12 beta=90.12 gamma=103.64
Positions (direct):
1 Bi 0.222 0.778 0.500
2 Bi 0.778 0.222 0.000
3 H 0.033 0.955 0.715
4 H 0.955 0.033 0.215
5 Se 0.255 0.770 0.151
6 Se 0.394 0.631 0.883
7 Se 0.631 0.394 0.383
8 Se 0.770 0.255 0.651
9 O 0.010 0.447 0.401
10 O 0.016 0.514 0.892
11 O 0.094 0.922 0.237
12 O 0.098 0.407 0.603
13 O 0.407 0.098 0.103
14 O 0.447 0.010 0.901
15 O 0.509 0.548 0.982
16 O 0.514 0.016 0.392
17 O 0.548 0.509 0.482
18 O 0.631 0.938 0.597
19 O 0.922 0.094 0.737
20 O 0.938 0.631 0.097

=====

formation energy of number 2 (SrBi3Cl3O4)?
-42.1 kcal/mol of atoms